Below is a geometry-optimized MgMn6O10F2 structure, with properties calculated at the PBE with a Hubbard U level.

```
data_MgMn6O10F2
_chemical_formula_sum 'Mg1 Mn6 O10 F2'
_symmetry_space_group_name_H-M 'P 1'
_symmetry_Int_Tables_number 1
_cell_length_a 3.027
_cell_length_b 4.951
_cell_length_c 14.046
_cell_angle_alpha 95.54
_cell_angle_beta 91.99
_cell_angle_gamma 90.16
loop_
_symmetry_equiv_pos_as_xyz
'x,y,z'
loop_
_atom_site_label
_atom_site_type_symbol
_atom_site_fract_x
_atom_site_fract_y
_atom_site_fract_z
_atom_site_occupancy
Mg1 Mg 0.000 0.000 0.000 1
Mn1 Mn 0.000 0.949 0.486 1
Mn2 Mn 0.050 0.940 0.804 1
Mn3 Mn 0.482 0.413 0.339 1
Mn4 Mn 0.502 0.508 0.972 1
Mn5 Mn 0.529 0.404 0.660 1
Mn6 Mn 0.955 0.879 0.196 1
O1 O 0.021 0.666 0.908 1
O2 O 0.036 0.249 0.725 1
O3 O 0.463 0.088 0.247 1
O4 O 0.482 0.139 0.907 1
O5 O 0.492 0.742 0.428 1
O6 O 0.507 0.825 0.074 1
O7 O 0.512 0.096 0.563 1
O8 O 0.549 0.749 0.743 1
O9 O 0.972 0.557 0.270 1
O10 O 0.991 0.252 0.402 1
F1 F 0.015 0.575 0.591 1
F2 F 0.964 0.360 0.062 1
```

Output
As for the uncorrected energy: -6.90 eV/atom. The value obtained for the formation enthalpy at 0 K is -2.051 eV/atom.

Below is a geometry-optimized Li4Mn2V3Sn3O16 structure, with properties calculated at the PBE with a Hubbard U level.

```
data_Li4Mn2V3Sn3O16
_chemical_formula_sum 'Li4 Mn2 V3 Sn3 O16'
_symmetry_space_group_name_H-M 'P 1'
_symmetry_Int_Tables_number 1
_cell_length_a 6.125
_cell_length_b 6.133
_cell_length_c 10.004
_cell_angle_alpha 89.92
_cell_angle_beta 89.86
_cell_angle_gamma 60.39
loop_
_symmetry_equiv_pos_as_xyz
'x,y,z'
loop_
_atom_site_label
_atom_site_type_symbol
_atom_site_fract_x
_atom_site_fract_y
_atom_site_fract_z
_atom_site_occupancy
Li1 Li 0.000 0.000 0.000 1
Li2 Li 0.001 0.011 0.494 1
Li3 Li 0.350 0.311 0.893 1
Li4 Li 0.684 0.634 0.387 1
Mn1 Mn 0.347 0.317 0.496 1
Mn2 Mn 0.676 0.648 0.000 1
V1 V 0.189 0.144 0.217 1
V2 V 0.677 0.151 0.212 1
V3 V 0.844 0.323 0.716 1
Sn1 Sn 0.179 0.642 0.214 1
Sn2 Sn 0.348 0.816 0.714 1
Sn3 Sn 0.843 0.817 0.714 1
O1 O 0.006 0.995 0.819 1
O2 O 0.007 0.989 0.314 1
O3 O 0.049 0.438 0.327 1
O4 O 0.160 0.151 0.605 1
O5 O 0.160 0.681 0.595 1
O6 O 0.314 0.850 0.103 1
O7 O 0.353 0.302 0.104 1
O8 O 0.500 0.457 0.329 1
O9 O 0.504 0.016 0.319 1
O10 O 0.531 0.953 0.835 1
O11 O 0.534 0.491 0.829 1
O12 O 0.682 0.642 0.599 1
O13 O 0.701 0.160 0.606 1
O14 O 0.844 0.292 0.113 1
O15 O 0.852 0.832 0.103 1
O16 O 0.979 0.481 0.827 1
```

Output
As for the uncorrected energy: -6.72 eV/atom. The value obtained for the formation enthalpy at 0 K is -2.261 eV/atom.

Which of these has the lowest uncorrected energy? MgMn6O10F2